[1]
A plane-wave DFT calculation with PBE was carried out for crystalline Er2CuNi at its relaxed geometry.

V = 20.2 A^3/atom
VASP energy = -5.14 eV per atom
Space-group type = Amm2
Energy relative to the elements = -1.6 eV/f.u.

Cell: 4.347 3.678 10.082 Å, 90.00 90.00 90.00°
Atoms (fractional coordinates):
Er 0.000 0.000 0.000
Er 0.000 0.500 0.500
Er 0.500 0.000 0.280
Er 0.500 0.500 0.780
Cu 0.500 0.000 0.570
Cu 0.500 0.500 0.070
Ni 0.000 0.000 0.713
Ni 0.000 0.500 0.213

[2]
A plane-wave DFT calculation with PBE was carried out for crystalline ErCuNi at its relaxed geometry.

V = 15.9 A^3/atom
Total magnetization = 0.02 Bohr magnetons per cell
VASP energy = -5.15 eV per atom
Space-group type = Imma
Energy relative to the elements = -1.0 eV/f.u.

Cell: 5.071 5.212 7.214 Å, 90.00 90.00 90.00°
Atoms (fractional coordinates):
Er 0.000 0.250 0.127
Er 0.000 0.750 0.873
Er 0.500 0.250 0.373
Er 0.500 0.750 0.627
Cu 0.250 0.250 0.750
Cu 0.250 0.750 0.250
Cu 0.750 0.250 0.750
Cu 0.750 0.750 0.250
Ni 0.000 0.000 0.500
Ni 0.000 0.500 0.500
Ni 0.500 0.000 0.000
Ni 0.500 0.500 0.000

[3]
A plane-wave DFT calculation with PBE was carried out for crystalline Er2CuO4 at its relaxed geometry.

V = 12.6 A^3/atom
Total magnetization = 0.00 Bohr magnetons per cell
VASP energy = -7.46 eV per atom
Space-group type = Cmce
Energy relative to the elements = -21.9 eV/f.u.

Cell: 6.484 6.484 5.467 Å, 90.00 90.00 49.91°
Atoms (fractional coordinates):
Er 0.155 0.155 0.000
Er 0.345 0.345 0.500
Er 0.655 0.655 0.500
Er 0.845 0.845 0.000
Cu 0.000 0.000 0.500
Cu 0.500 0.500 0.000
O 0.010 0.490 0.750
O 0.198 0.802 0.802
O 0.302 0.698 0.302
O 0.490 0.010 0.250
O 0.510 0.990 0.750
O 0.698 0.302 0.698
O 0.802 0.198 0.198
O 0.990 0.510 0.250

[4]
A plane-wave DFT calculation with PBE was carried out for crystalline Er2Cu2O5 at its relaxed geometry.

V = 13.1 A^3/atom
Total magnetization = 8.01 Bohr magnetons per cell
VASP energy = -6.92 eV per atom
Space-group type = Pna2_1
Energy relative to the elements = -23.6 eV/f.u.

Cell: 10.847 3.489 12.485 Å, 90.00 90.00 90.00°
Atoms (fractional coordinates):
Er 0.043 0.222 0.000
Er 0.209 0.220 0.328
Er 0.291 0.720 0.828
Er 0.457 0.722 0.500
Er 0.543 0.278 0.000
Er 0.709 0.280 0.328
Er 0.791 0.780 0.828
Er 0.957 0.778 0.500
Cu 0.010 0.341 0.718
Cu 0.237 0.154 0.611
Cu 0.263 0.654 0.111
Cu 0.490 0.841 0.218
Cu 0.510 0.159 0.718
Cu 0.737 0.346 0.611
Cu 0.763 0.846 0.111
Cu 0.990 0.659 0.218
O 0.070 0.277 0.567
O 0.078 0.726 0.358
O 0.126 0.338 0.164
O 0.174 0.724 0.972
O 0.177 0.217 0.764
O 0.323 0.717 0.264
O 0.326 0.224 0.472
O 0.374 0.838 0.664
O 0.422 0.226 0.858
O 0.430 0.777 0.067
O 0.570 0.223 0.567
O 0.578 0.774 0.358
O 0.626 0.162 0.164
O 0.674 0.776 0.972
O 0.677 0.283 0.764
O 0.823 0.783 0.264
O 0.826 0.276 0.472
O 0.874 0.662 0.664
O 0.922 0.274 0.858
O 0.930 0.723 0.067

[5]
A plane-wave DFT calculation with PBE was carried out for crystalline ErCu2O4 at its relaxed geometry.

V = 11.0 A^3/atom
VASP energy = -6.35 eV per atom
Space-group type = I4_1/a
Energy relative to the elements = -14.6 eV/f.u.

Cell: 6.248 6.248 6.248 Å, 126.17 126.17 79.61°
Atoms (fractional coordinates):
Er 0.375 0.125 0.250
Er 0.625 0.875 0.750
Cu 0.000 0.000 0.500
Cu 0.000 0.500 0.000
Cu 0.000 0.500 0.500
Cu 0.500 0.500 0.000
O 0.029 0.723 0.896
O 0.223 0.827 0.694
O 0.327 0.133 0.604
O 0.367 0.471 0.194
O 0.633 0.529 0.806
O 0.673 0.867 0.396
O 0.777 0.173 0.306
O 0.971 0.277 0.104

[6]
A plane-wave DFT calculation with PBE was carried out for crystalline ErCuP2 at its relaxed geometry.

V = 16.7 A^3/atom
VASP energy = -5.75 eV per atom
Space-group type = Pnma
Energy relative to the elements = -3.5 eV/f.u.

Cell: 19.330 3.700 3.732 Å, 90.00 90.00 90.00°
Atoms (fractional coordinates):
Er 0.117 0.250 0.226
Er 0.383 0.750 0.726
Er 0.617 0.250 0.274
Er 0.883 0.750 0.774
Cu 0.250 0.250 0.729
Cu 0.250 0.750 0.229
Cu 0.750 0.250 0.771
Cu 0.750 0.750 0.271
P 0.001 0.250 0.697
P 0.171 0.750 0.728
P 0.329 0.250 0.228
P 0.499 0.750 0.197
P 0.501 0.250 0.803
P 0.671 0.750 0.772
P 0.829 0.250 0.272
P 0.999 0.750 0.303

[7]
A plane-wave DFT calculation with PBE was carried out for crystalline ErCu4Pd at its relaxed geometry.

V = 14.5 A^3/atom
VASP energy = -4.73 eV per atom
Space-group type = F-43m
Energy relative to the elements = -2.2 eV/f.u.

Cell: 4.974 4.974 4.974 Å, 60.00 60.00 60.00°
Atoms (fractional coordinates):
Er 0.000 0.000 0.000
Cu 0.376 0.376 0.376
Cu 0.376 0.376 0.872
Cu 0.376 0.872 0.376
Cu 0.872 0.376 0.376
Pd 0.750 0.750 0.750

[8]
A plane-wave DFT calculation with PBE was carried out for crystalline Er2CuPt at its relaxed geometry.

V = 20.6 A^3/atom
VASP energy = -5.62 eV per atom
Space-group type = Fm-3m
Energy relative to the elements = -3.2 eV/f.u.

Cell: 6.903 6.903 6.903 Å, 90.00 90.00 90.00°
Atoms (fractional coordinates):
Er 0.250 0.250 0.250
Er 0.250 0.250 0.750
Er 0.250 0.750 0.250
Er 0.250 0.750 0.750
Er 0.750 0.250 0.250
Er 0.750 0.250 0.750
Er 0.750 0.750 0.250
Er 0.750 0.750 0.750
Cu 0.000 0.000 0.000
Cu 0.000 0.500 0.500
Cu 0.500 0.000 0.500
Cu 0.500 0.500 0.000
Pt 0.000 0.000 0.500
Pt 0.000 0.500 0.000
Pt 0.500 0.000 0.000
Pt 0.500 0.500 0.500

[9]
A plane-wave DFT calculation with PBE was carried out for crystalline RbEr2Cu3S5 at its relaxed geometry.

V = 20.4 A^3/atom
Total magnetization = 0.00 Bohr magnetons per cell
VASP energy = -5.16 eV per atom
Space-group type = Cmcm
Energy relative to the elements = -16.2 eV/f.u.

Cell: 7.229 7.229 16.433 Å, 90.00 90.00 148.43°
Atoms (fractional coordinates):
Rb 0.065 0.935 0.750
Rb 0.935 0.065 0.250
Er 0.192 0.808 0.093
Er 0.192 0.808 0.407
Er 0.808 0.192 0.593
Er 0.808 0.192 0.907
Cu 0.345 0.655 0.750
Cu 0.416 0.584 0.037
Cu 0.416 0.584 0.463
Cu 0.584 0.416 0.537
Cu 0.584 0.416 0.963
Cu 0.655 0.345 0.250
S 0.168 0.832 0.569
S 0.168 0.832 0.931
S 0.238 0.762 0.250
S 0.438 0.562 0.613
S 0.438 0.562 0.887
S 0.562 0.438 0.113
S 0.562 0.438 0.387
S 0.762 0.238 0.750
S 0.832 0.168 0.069
S 0.832 0.168 0.431

[10]
A plane-wave DFT calculation with PBE was carried out for crystalline Er3CuSiS7 at its relaxed geometry.

V = 19.8 A^3/atom
VASP energy = -5.85 eV per atom
Space-group type = P6_3
Energy relative to the elements = -21.5 eV/f.u.

Cell: 9.810 9.810 5.697 Å, 90.00 90.00 120.00°
Atoms (fractional coordinates):
Er 0.133 0.358 0.000
Er 0.225 0.867 0.000
Er 0.358 0.225 0.500
Er 0.642 0.775 0.000
Er 0.775 0.133 0.500
Er 0.867 0.642 0.500
Cu 0.000 0.000 0.449
Cu 0.000 0.000 0.949
Si 0.333 0.667 0.588
Si 0.667 0.333 0.088
S 0.098 0.260 0.467
S 0.104 0.581 0.739
S 0.162 0.902 0.467
S 0.260 0.162 0.967
S 0.333 0.667 0.216
S 0.419 0.524 0.739
S 0.476 0.896 0.739
S 0.524 0.104 0.239
S 0.581 0.476 0.239
S 0.667 0.333 0.716
S 0.740 0.838 0.467
S 0.838 0.098 0.967
S 0.896 0.419 0.239
S 0.902 0.740 0.967

[11]
A plane-wave DFT calculation with PBE was carried out for crystalline Er3CuSnS7 at its relaxed geometry.

V = 21.0 A^3/atom
Total magnetization = 0.00 Bohr magnetons per cell
VASP energy = -5.62 eV per atom
Space-group type = P2_1
Energy relative to the elements = -20.2 eV/f.u.

Cell: 9.721 6.160 9.722 Å, 90.00 120.00 90.00°
Atoms (fractional coordinates):
Er 0.142 0.000 0.283
Er 0.217 0.000 0.858
Er 0.358 0.500 0.642
Er 0.642 0.000 0.358
Er 0.783 0.500 0.142
Er 0.858 0.500 0.717
Cu 0.000 0.099 0.499
Cu 0.000 0.599 0.501
Sn 0.333 0.438 0.167
Sn 0.667 0.938 0.833
S 0.083 0.251 0.015
S 0.110 0.574 0.348
S 0.152 0.573 0.763
S 0.262 0.074 0.610
S 0.333 0.826 0.167
S 0.432 0.251 0.417
S 0.485 0.250 0.068
S 0.515 0.750 0.932
S 0.568 0.751 0.583
S 0.667 0.326 0.833
S 0.738 0.574 0.390
S 0.848 0.073 0.237
S 0.890 0.074 0.652
S 0.917 0.751 0.985

[12]
A plane-wave DFT calculation with PBE was carried out for crystalline Er3Tl2Cu5S8 at its relaxed geometry.

V = 20.2 A^3/atom
Total magnetization = 0.00 Bohr magnetons per cell
VASP energy = -5.03 eV per atom
Space-group type = Cm
Energy relative to the elements = -22.5 eV/f.u.

Cell: 7.184 7.184 14.422 Å, 110.42 110.42 31.57°
Atoms (fractional coordinates):
Er 0.000 0.000 0.000
Er 0.137 0.137 0.386
Er 0.297 0.297 0.765
Tl 0.334 0.334 0.172
Tl 0.962 0.962 0.586
Cu 0.355 0.355 0.382
Cu 0.547 0.547 0.835
Cu 0.616 0.616 0.191
Cu 0.677 0.677 0.580
Cu 0.748 0.748 0.930
S 0.021 0.021 0.189
S 0.271 0.271 0.574
S 0.349 0.349 0.965
S 0.529 0.529 0.431
S 0.638 0.638 0.022
S 0.659 0.659 0.744
S 0.759 0.759 0.342
S 0.948 0.948 0.800

[13]
A plane-wave DFT calculation with PBE was carried out for crystalline ErCuSb2 at its relaxed geometry.

V = 22.5 A^3/atom
VASP energy = -4.81 eV per atom
Space-group type = P4/nmm
Energy relative to the elements = -2.7 eV/f.u.

Cell: 4.292 4.292 9.780 Å, 90.00 90.00 90.00°
Atoms (fractional coordinates):
Er 0.250 0.250 0.250
Er 0.750 0.750 0.750
Cu 0.250 0.750 0.000
Cu 0.750 0.250 0.000
Sb 0.250 0.250 0.837
Sb 0.250 0.750 0.500
Sb 0.750 0.250 0.500
Sb 0.750 0.750 0.163

[14]
A plane-wave DFT calculation with PBE was carried out for crystalline Er3Cu3Sb4 at its relaxed geometry.

V = 21.7 A^3/atom
VASP energy = -4.94 eV per atom
Space-group type = I-43d
Energy relative to the elements = -7.7 eV/f.u.

Cell: 8.265 8.265 8.265 Å, 109.47 109.47 109.47°
Atoms (fractional coordinates):
Er 0.125 0.875 0.250
Er 0.250 0.125 0.875
Er 0.375 0.625 0.750
Er 0.625 0.750 0.375
Er 0.750 0.375 0.625
Er 0.875 0.250 0.125
Cu 0.125 0.750 0.875
Cu 0.250 0.625 0.375
Cu 0.375 0.250 0.625
Cu 0.625 0.375 0.250
Cu 0.750 0.875 0.125
Cu 0.875 0.125 0.750
Sb 0.000 0.160 0.500
Sb 0.000 0.660 0.500
Sb 0.160 0.500 0.000
Sb 0.340 0.340 0.340
Sb 0.500 0.000 0.160
Sb 0.500 0.000 0.660
Sb 0.660 0.500 0.000
Sb 0.840 0.840 0.840

[15]
A plane-wave DFT calculation with PBE was carried out for crystalline Er2Cu3Si at its relaxed geometry.

V = 17.9 A^3/atom
Total magnetization = 0.00 Bohr magnetons per cell
VASP energy = -4.90 eV per atom
Space-group type = Pm
Energy relative to the elements = -2.5 eV/f.u.

Cell: 4.128 3.566 7.314 Å, 90.00 90.08 90.00°
Atoms (fractional coordinates):
Er 0.000 0.000 0.000
Er 0.500 0.000 0.497
Cu 0.000 0.500 0.339
Cu 0.500 0.500 0.161
Cu 0.500 0.500 0.824
Si 0.000 0.500 0.666

[16]
A plane-wave DFT calculation with PBE was carried out for crystalline ErCuSi at its relaxed geometry.

V = 18.1 A^3/atom
VASP energy = -5.37 eV per atom
Space-group type = P6_3/mmc
Energy relative to the elements = -1.9 eV/f.u.

Cell: 4.132 4.132 7.357 Å, 90.00 90.00 120.00°
Atoms (fractional coordinates):
Er 0.000 0.000 0.000
Er 0.000 0.000 0.500
Cu 0.333 0.667 0.250
Cu 0.667 0.333 0.750
Si 0.333 0.667 0.750
Si 0.667 0.333 0.250

[17]
A plane-wave DFT calculation with PBE was carried out for crystalline ErCu2Si2 at its relaxed geometry.

V = 15.5 A^3/atom
VASP energy = -5.30 eV per atom
Space-group type = I4/mmm
Energy relative to the elements = -2.8 eV/f.u.

Cell: 3.942 3.942 10.000 Å, 90.00 90.00 90.00°
Atoms (fractional coordinates):
Er 0.000 0.000 0.000
Er 0.500 0.500 0.500
Cu 0.000 0.500 0.250
Cu 0.000 0.500 0.750
Cu 0.500 0.000 0.250
Cu 0.500 0.000 0.750
Si 0.000 0.000 0.383
Si 0.000 0.000 0.617
Si 0.500 0.500 0.117
Si 0.500 0.500 0.883

[18]
A plane-wave DFT calculation with PBE was carried out for crystalline ErCuSi at its relaxed geometry.

V = 18.0 A^3/atom
Total magnetization = 0.00 Bohr magnetons per cell
VASP energy = -5.34 eV per atom
Space-group type = P-6m2
Energy relative to the elements = -1.8 eV/f.u.

Cell: 4.113 4.113 3.683 Å, 90.00 90.00 120.00°
Atoms (fractional coordinates):
Er 0.000 0.000 0.000
Cu 0.333 0.667 0.500
Si 0.667 0.333 0.500

[19]
A plane-wave DFT calculation with PBE was carried out for crystalline Er2CuSi3 at its relaxed geometry.

V = 18.5 A^3/atom
VASP energy = -5.61 eV per atom
Space-group type = Imm2
Energy relative to the elements = -3.9 eV/f.u.

Cell: 3.935 4.062 13.861 Å, 90.00 90.00 90.00°
Atoms (fractional coordinates):
Er 0.000 0.000 0.000
Er 0.000 0.500 0.255
Er 0.500 0.000 0.755
Er 0.500 0.500 0.500
Cu 0.000 0.000 0.589
Cu 0.500 0.500 0.089
Si 0.000 0.000 0.426
Si 0.000 0.500 0.665
Si 0.000 0.500 0.832
Si 0.500 0.000 0.165
Si 0.500 0.000 0.332
Si 0.500 0.500 0.926

[20]
A plane-wave DFT calculation with PBE was carried out for crystalline Er3Cu4Si4 at its relaxed geometry.

V = 16.5 A^3/atom
VASP energy = -5.35 eV per atom
Space-group type = Immm
Energy relative to the elements = -6.7 eV/f.u.

Cell: 7.812 7.812 7.812 Å, 149.48 130.72 59.08°
Atoms (fractional coordinates):
Er 0.000 0.000 0.000
Er 0.372 0.872 0.500
Er 0.628 0.128 0.500
Cu 0.023 0.332 0.691
Cu 0.360 0.668 0.691
Cu 0.640 0.332 0.309
Cu 0.977 0.668 0.309
Si 0.216 0.216 0.000
Si 0.315 0.500 0.815
Si 0.685 0.500 0.185
Si 0.784 0.784 0.000